(1)
CaMg | r2SCAN | optimized geometry

Unit cell a=5.6873 b=3.8606 c=17.1985 alpha=90.00 beta=90.00 gamma=90.00
With the nearest neighbours (Å) after each atom.
Atoms (fractional coordinates):
Mg1 0.5000 0.5000 0.7037  8 Ca 3.28-3.44
Mg2 0.0000 0.0000 0.0089  2 Mg 3.17, 4 Ca 3.49
Mg3 0.0000 0.0000 0.3625  2 Mg 3.17, 6 Ca 3.44-3.53
Mg4 0.0000 0.5000 0.5089  2 Mg 3.17, 4 Ca 3.49
Mg5 0.5000 0.0000 0.2037  8 Ca 3.28-3.44
Mg6 0.0000 0.5000 0.8625  2 Mg 3.17, 6 Ca 3.44-3.53
Ca1 0.0000 0.5000 0.1904  8 Mg 3.44-3.67, 2 Ca 3.81
Ca2 0.5000 0.5000 0.3582  6 Mg 3.28-3.44
Ca3 0.0000 0.0000 0.6904  8 Mg 3.44-3.67, 2 Ca 3.81
Ca4 0.5000 0.5000 0.0430  6 Mg 3.37-3.49, 2 Ca 3.72
Ca5 0.5000 0.0000 0.5430  6 Mg 3.37-3.49, 2 Ca 3.72
Ca6 0.5000 0.0000 0.8582  6 Mg 3.28-3.44

Values from the calculation:
- calculated formation energy (eV per atom) = -0.04
- calculated total energy (hartree per atom) = -0.2075
- total magnetic moment (μB per cell) = 0.0
- mass density (g cm⁻³) = 1.70



(2)
CaMg | r2SCAN | optimized geometry

Unit cell a=5.4939 b=5.5054 c=12.4289 alpha=90.00 beta=90.00 gamma=90.00
With the nearest neighbours (Å) after each atom.
Atoms (fractional coordinates):
Ca1 0.0000 0.0000 0.6794  7 Mg 3.37-3.72, 2 Ca 3.69
Ca2 0.5000 0.0000 0.8779  4 Mg 3.24-3.29, 2 Ca 3.62
Ca3 0.5000 0.0000 0.1892  6 Mg 3.44-3.64, 2 Ca 3.62
Ca4 0.5000 0.5000 0.6892  6 Mg 3.44-3.64, 2 Ca 3.62
Ca5 0.0000 0.5000 0.1794  7 Mg 3.37-3.72, 2 Ca 3.69
Ca6 0.5000 0.5000 0.3779  4 Mg 3.24-3.29, 2 Ca 3.62
Mg1 0.0000 0.0000 0.0161  2 Mg 3.22, 6 Ca 3.24-3.49
Mg2 0.0000 0.5000 0.5161  2 Mg 3.22, 6 Ca 3.24-3.49
Mg3 0.5000 0.5000 0.0230  2 Mg 3.26, 6 Ca 3.29-3.44
Mg4 0.0000 0.5000 0.8812  4 Mg 3.22-3.26
Mg5 0.5000 0.0000 0.5230  2 Mg 3.26, 6 Ca 3.29-3.44
Mg6 0.0000 0.0000 0.3812  4 Mg 3.22-3.26

Values from the calculation:
- calculated formation energy (eV per atom) = -0.02
- calculated total energy (hartree per atom) = -0.2067
- total magnetic moment (μB per cell) = 0.0
- mass density (g cm⁻³) = 1.71



(3)
CaMg5 | r2SCAN | optimized geometry

Unit cell a=5.8442 b=5.8442 c=5.1709 alpha=90.00 beta=90.00 gamma=120.00
With the nearest neighbours (Å) after each atom.
Atoms (fractional coordinates):
Ca1 0.0000 0.0000 0.0000  12 Mg 3.37-3.46
Mg1 0.0000 0.6075 0.5000  8 Mg 3.12-3.15, 2 Ca 3.46
Mg2 0.3333 0.6667 0.0000  9 Mg 3.15-3.37, 3 Ca 3.37
Mg3 0.3925 0.3925 0.5000  8 Mg 3.12-3.15, 2 Ca 3.46
Mg4 0.6075 0.0000 0.5000  8 Mg 3.12-3.15, 2 Ca 3.46
Mg5 0.6667 0.3333 0.0000  9 Mg 3.15-3.37, 3 Ca 3.37

Values from the calculation:
- calculated formation energy (eV per atom) = -0.01
- calculated total energy (hartree per atom) = -0.1712
- total magnetic moment (μB per cell) = 0.0
- space group = No. 189
- mass density (g cm⁻³) = 1.75



(4)
CaMg3 | r2SCAN | optimized geometry

Unit cell a=4.7539 b=4.7539 c=4.7539 alpha=90.00 beta=90.00 gamma=90.00
With the nearest neighbours (Å) after each atom.
Atoms (fractional coordinates):
Ca1 0.0000 0.0000 0.0000  12 Mg 3.36
Mg1 0.0000 0.5000 0.5000  8 Mg 3.36, 4 Ca 3.36
Mg2 0.5000 0.0000 0.5000  8 Mg 3.36, 4 Ca 3.36
Mg3 0.5000 0.5000 0.0000  8 Mg 3.36, 4 Ca 3.36

Values from the calculation:
- calculated formation energy (eV per atom) = -0.01
- calculated total energy (hartree per atom) = -0.1799
- total magnetic moment (μB per cell) = 0.0
- space group = No. 221
- mass density (g cm⁻³) = 1.75



(5)
CaMg15 | r2SCAN | optimized geometry

Unit cell a=6.4952 b=6.4952 c=10.3366 alpha=90.00 beta=90.00 gamma=120.00
With the nearest neighbours (Å) after each atom.
Atoms (fractional coordinates):
Ca1 0.0000 0.0000 0.0000  12 Mg 3.25
Mg1 0.0000 0.0000 0.5000  12 Mg 3.15-3.25
Mg2 0.0034 0.5017 0.5000  12 Mg 3.14-3.28
Mg3 0.3333 0.6667 0.2443  12 Mg 3.17-3.25
Mg4 0.3333 0.6667 0.7557  12 Mg 3.17-3.25
Mg5 0.3354 0.1677 0.2563  11 Mg 3.14-3.27, 1 Ca 3.25
Mg6 0.3354 0.1677 0.7437  11 Mg 3.14-3.27, 1 Ca 3.25
Mg7 0.4983 0.5017 0.5000  12 Mg 3.14-3.28
Mg8 0.4983 0.9966 0.5000  12 Mg 3.14-3.28
Mg9 0.5040 0.0080 0.0000  10 Mg 3.17-3.33, 2 Ca 3.25
Mg10 0.5040 0.4960 0.0000  10 Mg 3.17-3.33, 2 Ca 3.25
Mg11 0.8323 0.1677 0.2563  11 Mg 3.14-3.27, 1 Ca 3.25
Mg12 0.8323 0.1677 0.7437  11 Mg 3.14-3.27, 1 Ca 3.25
Mg13 0.8323 0.6646 0.2563  11 Mg 3.14-3.27, 1 Ca 3.25
Mg14 0.8323 0.6646 0.7437  11 Mg 3.14-3.27, 1 Ca 3.25
Mg15 0.9920 0.4960 0.0000  10 Mg 3.17-3.33, 2 Ca 3.25

Values from the calculation:
- calculated formation energy (eV per atom) = 0.02
- calculated total energy (hartree per atom) = -0.1590
- total magnetic moment (μB per cell) = 0.0
- space group = No. 187
- mass density (g cm⁻³) = 1.78



(6)
CaMg2 | r2SCAN | optimized geometry

Unit cell a=6.6385 b=6.6385 c=6.6385 alpha=147.50 beta=147.50 gamma=46.62
With the nearest neighbours (Å) after each atom.
Atoms (fractional coordinates):
Ca1 0.0000 0.0000 0.0000  10 Mg 3.45-3.85, 4 Ca 3.72
Mg1 0.3161 0.3161 0.0000  4 Mg 3.08
Mg2 0.6839 0.6839 0.0000  4 Mg 3.08

Values from the calculation:
- calculated formation energy (eV per atom) = -0.04
- calculated total energy (hartree per atom) = -0.1900
- total magnetic moment (μB per cell) = 0.0
- space group = No. 139
- mass density (g cm⁻³) = 1.75



(7)
CaMg2 | r2SCAN | optimized geometry

Unit cell a=6.2756 b=6.2756 c=9.9072 alpha=90.00 beta=90.00 gamma=120.00
With the nearest neighbours (Å) after each atom.
Atoms (fractional coordinates):
Ca1 0.3333 0.6667 0.0619  12 Mg 3.57-3.67, 4 Ca 3.73-3.83
Ca2 0.3333 0.6667 0.4381  12 Mg 3.57-3.67, 4 Ca 3.73-3.83
Ca3 0.6667 0.3333 0.5619  12 Mg 3.57-3.67, 4 Ca 3.73-3.83
Ca4 0.6667 0.3333 0.9381  12 Mg 3.57-3.67, 4 Ca 3.73-3.83
Mg1 0.0000 0.0000 0.0000  6 Mg 3.08
Mg2 0.0000 0.0000 0.5000  6 Mg 3.08
Mg3 0.1680 0.3360 0.7500  6 Mg 3.08-3.16
Mg4 0.1680 0.8320 0.7500  6 Mg 3.08-3.16
Mg5 0.3360 0.1680 0.2500  6 Mg 3.08-3.16
Mg6 0.6640 0.8320 0.7500  6 Mg 3.08-3.16
Mg7 0.8320 0.1680 0.2500  6 Mg 3.08-3.16
Mg8 0.8320 0.6640 0.2500  6 Mg 3.08-3.16

Values from the calculation:
- calculated formation energy (eV per atom) = -0.12
- calculated total energy (hartree per atom) = -0.1926
- total magnetic moment (μB per cell) = 0.0
- space group = No. 194
- mass density (g cm⁻³) = 1.74



(8)
CaMg3 | r2SCAN | optimized geometry

Unit cell a=5.2600 b=5.2600 c=5.2600 alpha=119.88 beta=119.88 gamma=90.21
With the nearest neighbours (Å) after each atom.
Atoms (fractional coordinates):
Ca1 0.0000 0.0000 0.0000  8 Mg 3.22
Mg1 0.2500 0.7500 0.5000  4 Mg 3.22, 4 Ca 3.22
Mg2 0.5000 0.5000 0.0000  8 Mg 3.22
Mg3 0.7500 0.2500 0.5000  4 Mg 3.22, 4 Ca 3.22

Values from the calculation:
- calculated formation energy (eV per atom) = -0.05
- calculated total energy (hartree per atom) = -0.1813
- total magnetic moment (μB per cell) = 0.0
- space group = No. 139
- mass density (g cm⁻³) = 1.82